1.
Here is an optimized crystal structure of Y5Si4 from the Materials Project. Energies are from r2SCAN.

Calculated values
Size of the total moment ... 0.17 μB/atom
Space group ... Pnma, No. 62
Raw total energy ... -16.02 eV/atom
Energy relative to the elements ... -7.526 eV/f.u.

a b c (Å): 7.457 7.691 14.633
angles (deg): 90.00 90.00 90.00
Positions (direct):
Y: 0.687 0.179 0.622
Y: 0.187 0.321 0.878
Y: 0.313 0.821 0.122
Y: 0.813 0.679 0.378
Y: 0.313 0.821 0.378
Y: 0.813 0.679 0.122
Y: 0.687 0.179 0.878
Y: 0.187 0.321 0.622
Y: 0.533 0.683 0.598
Y: 0.033 0.817 0.902
Y: 0.467 0.317 0.098
Y: 0.967 0.183 0.402
Y: 0.467 0.317 0.402
Y: 0.967 0.183 0.098
Y: 0.533 0.683 0.902
Y: 0.033 0.817 0.598
Y: 0.858 0.512 0.750
Y: 0.358 0.988 0.750
Y: 0.142 0.488 0.250
Y: 0.642 0.012 0.250
Si: 0.641 0.974 0.459
Si: 0.141 0.526 0.041
Si: 0.359 0.026 0.959
Si: 0.859 0.474 0.541
Si: 0.359 0.026 0.541
Si: 0.859 0.474 0.959
Si: 0.641 0.974 0.041
Si: 0.141 0.526 0.459
Si: 0.485 0.396 0.750
Si: 0.985 0.104 0.750
Si: 0.515 0.604 0.250
Si: 0.015 0.896 0.250
Si: 0.741 0.874 0.750
Si: 0.241 0.626 0.750
Si: 0.259 0.126 0.250
Si: 0.759 0.374 0.250



2.
Here is an optimized crystal structure of YbSi2 from the Materials Project. Energies are from r2SCAN.

Calculated values
Size of the total moment ... 0.00 μB/atom
Space group ... I4_1/amd, No. 141
Raw total energy ... -18.51 eV/atom
Energy relative to the elements ... -1.459 eV/f.u.

a b c (Å): 7.960 7.960 7.960
angles (deg): 152.08 152.08 39.90
Positions (direct):
Yb: 0.250 0.750 0.500
Yb: 0.500 0.500 0.000
Si: 0.081 0.081 0.000
Si: 0.831 0.331 0.500
Si: 0.669 0.169 0.500
Si: 0.919 0.919 0.000



3.
Here is an optimized crystal structure of Yb2Si from the Materials Project. Energies are from r2SCAN.

Calculated values
Size of the total moment ... 0.00 μB/atom
Space group ... Pnma, No. 62
Raw total energy ... -27.88 eV/atom
Energy relative to the elements ... -1.810 eV/f.u.

a b c (Å): 4.272 7.285 8.980
angles (deg): 90.00 90.00 90.00
Positions (direct):
Yb: 0.250 0.633 0.566
Yb: 0.750 0.367 0.434
Yb: 0.750 0.867 0.066
Yb: 0.250 0.133 0.934
Yb: 0.250 0.544 0.170
Yb: 0.750 0.456 0.830
Yb: 0.750 0.956 0.670
Yb: 0.250 0.044 0.330
Si: 0.250 0.736 0.873
Si: 0.750 0.264 0.127
Si: 0.750 0.764 0.373
Si: 0.250 0.236 0.627



4.
Here is an optimized crystal structure of Yb5Si4 from the Materials Project. Energies are from r2SCAN.

Calculated values
Size of the total moment ... 0.00 μB/atom
Space group ... Pnma, No. 62
Raw total energy ... -25.01 eV/atom
Energy relative to the elements ... -7.391 eV/f.u.

a b c (Å): 7.246 7.533 14.217
angles (deg): 90.00 90.00 90.00
Positions (direct):
Yb: 0.322 0.179 0.124
Yb: 0.822 0.321 0.376
Yb: 0.178 0.679 0.876
Yb: 0.678 0.821 0.624
Yb: 0.322 0.179 0.376
Yb: 0.822 0.321 0.124
Yb: 0.178 0.679 0.624
Yb: 0.678 0.821 0.876
Yb: 0.978 0.819 0.402
Yb: 0.478 0.681 0.098
Yb: 0.522 0.319 0.598
Yb: 0.022 0.181 0.902
Yb: 0.022 0.181 0.598
Yb: 0.522 0.319 0.902
Yb: 0.478 0.681 0.402
Yb: 0.978 0.819 0.098
Yb: 0.347 0.011 0.750
Yb: 0.847 0.489 0.750
Yb: 0.153 0.511 0.250
Yb: 0.653 0.989 0.250
Si: 0.848 0.529 0.539
Si: 0.348 0.971 0.961
Si: 0.652 0.029 0.461
Si: 0.152 0.471 0.039
Si: 0.152 0.471 0.461
Si: 0.652 0.029 0.039
Si: 0.348 0.971 0.539
Si: 0.848 0.529 0.961
Si: 0.976 0.895 0.750
Si: 0.476 0.605 0.750
Si: 0.524 0.395 0.250
Si: 0.024 0.105 0.250
Si: 0.226 0.370 0.750
Si: 0.726 0.130 0.750
Si: 0.274 0.870 0.250
Si: 0.774 0.630 0.250



5.
Here is an optimized crystal structure of YbSi from the Materials Project. Energies are from r2SCAN.

Calculated values
Size of the total moment ... 0.00 μB/atom
Space group ... Cmcm, No. 63
Raw total energy ... -23.54 eV/atom
Energy relative to the elements ... -1.769 eV/f.u.

a b c (Å): 5.561 5.561 3.758
angles (deg): 90.00 90.00 135.90
Positions (direct):
Yb: 0.141 0.859 0.250
Yb: 0.859 0.141 0.750
Si: 0.422 0.578 0.250
Si: 0.578 0.422 0.750



6.
Here is an optimized crystal structure of YbSi2 from the Materials Project. Energies are from r2SCAN.

Calculated values
Size of the total moment ... 0.00 μB/atom
Space group ... P6/mmm, No. 191
Raw total energy ... -18.50 eV/atom
Energy relative to the elements ... -1.433 eV/f.u.

a b c (Å): 4.064 4.064 3.806
angles (deg): 90.00 90.00 120.00
Positions (direct):
Yb: 0.000 0.000 0.000
Si: 0.333 0.667 0.500
Si: 0.667 0.333 0.500